DFT (GGA-PBE) results for an optimized crystal structure of EuB2H8.

POSCAR file:
```
EuB2H8
1.0
7.503 0.000 0.000
0.000 7.431 0.000
-0.278 0.000 8.136
Eu B H
4 8 32
Direct
0.239 0.071 0.364
0.239 0.429 0.864
0.761 0.571 0.136
0.761 0.929 0.636
0.004 0.234 0.608
0.004 0.266 0.108
0.484 0.211 0.682
0.484 0.289 0.182
0.516 0.711 0.818
0.516 0.789 0.318
0.996 0.734 0.892
0.996 0.766 0.392
0.038 0.708 0.258
0.038 0.792 0.758
0.066 0.081 0.630
0.066 0.419 0.130
0.117 0.169 0.046
0.117 0.331 0.546
0.130 0.731 0.982
0.130 0.769 0.482
0.361 0.140 0.753
0.361 0.360 0.253
0.378 0.695 0.734
0.378 0.805 0.234
0.460 0.130 0.152
0.460 0.370 0.652
0.497 0.636 0.952
0.497 0.864 0.452
0.503 0.136 0.548
0.503 0.364 0.048
0.540 0.630 0.348
0.540 0.870 0.848
0.622 0.195 0.766
0.622 0.305 0.266
0.639 0.640 0.747
0.639 0.860 0.247
0.870 0.231 0.518
0.870 0.269 0.018
0.883 0.669 0.454
0.883 0.831 0.954
0.934 0.581 0.870
0.934 0.919 0.370
0.962 0.208 0.242
0.962 0.292 0.742
```

ΔE to the lowest computed polymorph ... 9.4 meV/atom
E_tot ... -217.78 eV/cell
Corrected total energy (MP2020 scheme) ... -55.88 eV per formula unit
Size of the total moment ... 28.00 μB per cell
Space-group type ... P2_1/c (14)
Crystal system ... monoclinic